No. 1
Na3Hf3GaP6O24 | PBE | optimized geometry

- formation energy from the elements (eV/atom) = -3.054
- MP2020-corrected energy (eV per formula unit) = -301.097

Unit cell a=8.824 b=8.813 c=22.864 alpha=90.00 beta=90.00 gamma=120.19
Fractional coordinates of all 111 atoms:
P 0.631 0.958 0.416
P 0.714 0.706 0.251
P 0.381 0.334 0.086
P 0.329 0.370 0.415
P 0.953 0.334 0.585
P 0.624 0.666 0.916
P 0.292 0.006 0.250
P 0.665 0.619 0.586
P 0.710 0.009 0.749
P 0.667 0.048 0.086
P 0.953 0.619 0.086
P 0.043 0.675 0.416
P 0.991 0.285 0.252
P 0.996 0.703 0.748
P 0.298 0.291 0.749
P 0.381 0.046 0.586
P 0.333 0.958 0.917
P 0.042 0.375 0.917
O 0.793 0.969 0.696
O 0.536 0.693 0.970
O 0.164 0.469 0.258
O 0.871 0.507 0.140
O 0.684 0.519 0.244
O 0.862 0.503 0.423
O 0.827 0.523 0.742
O 0.156 0.462 0.971
O 0.483 0.317 0.743
O 0.320 0.477 0.756
O 0.196 0.026 0.590
O 0.968 0.180 0.308
O 0.160 0.687 0.755
O 0.795 0.822 0.196
O 0.360 0.497 0.078
O 0.502 0.640 0.578
O 0.859 0.357 0.923
O 0.497 0.141 0.923
O 0.822 0.031 0.804
O 0.870 0.364 0.638
O 0.310 0.840 0.257
O 0.694 0.157 0.030
O 0.830 0.027 0.091
O 0.359 0.862 0.578
O 0.830 0.805 0.590
O 0.653 0.144 0.423
O 0.637 0.511 0.642
O 0.831 0.308 0.243
O 0.177 0.973 0.196
O 0.031 0.203 0.198
O 0.359 0.484 0.360
O 0.542 0.845 0.471
O 0.494 0.354 0.422
O 0.138 0.498 0.577
O 0.817 0.983 0.409
O 0.492 0.129 0.640
O 0.974 0.804 0.090
O 0.526 0.683 0.257
O 0.127 0.636 0.363
O 0.642 0.502 0.922
O 0.529 0.836 0.756
O 0.306 0.844 0.971
O 0.024 0.837 0.408
O 0.690 0.170 0.742
O 0.156 0.698 0.471
O 0.824 0.791 0.306
O 0.693 0.535 0.531
O 0.026 0.821 0.695
O 0.024 0.193 0.910
O 0.160 0.189 0.409
O 0.360 0.872 0.862
O 0.474 0.172 0.243
O 0.973 0.170 0.590
O 0.843 0.537 0.030
O 0.846 0.306 0.527
O 0.195 0.170 0.091
O 0.489 0.363 0.142
O 0.209 0.179 0.804
O 0.137 0.641 0.078
O 0.128 0.488 0.862
O 0.462 0.156 0.530
O 0.513 0.873 0.362
O 0.635 0.129 0.140
O 0.965 0.790 0.803
O 0.169 0.976 0.910
O 0.299 0.459 0.469
O 0.180 0.206 0.695
O 0.465 0.307 0.031
O 0.210 0.040 0.305
O 0.807 0.831 0.910
O 0.503 0.863 0.078
O 0.515 0.640 0.860
Na 0.367 0.362 0.248
Na 0.638 0.633 0.748
Na 0.667 0.334 0.328
Na 0.326 0.667 0.665
Na 0.971 0.300 0.414
Na 0.001 0.992 0.498
Na 0.333 0.674 0.165
Na 0.000 0.000 0.001
Na 0.667 0.325 0.832
Hf 0.002 0.002 0.645
Hf 0.667 0.334 0.981
Hf 0.334 0.668 0.521
Hf 0.001 0.002 0.853
Hf 0.998 0.998 0.146
Hf 0.661 0.334 0.481
Hf 0.328 0.667 0.814
Hf 0.335 0.674 0.312
Hf 0.334 0.667 0.022
Ga 0.999 0.992 0.348
Ga 0.673 0.333 0.184
Ga 0.668 0.327 0.684

---

No. 2
Na3Hf2Ga2P5SO24 | PBE | optimized geometry

- formation energy from the elements (eV/atom) = -2.795
- MP2020-corrected energy (eV per formula unit) = -283.315

Unit cell a=8.731 b=8.711 c=22.550 alpha=90.19 beta=89.82 gamma=120.16
Fractional coordinates of all 111 atoms:
O 0.166 0.685 0.755
O 0.493 0.362 0.422
O 0.457 0.305 0.029
O 0.637 0.507 0.922
O 0.787 0.967 0.691
O 0.877 0.511 0.137
O 0.501 0.861 0.361
O 0.035 0.834 0.410
O 0.306 0.479 0.758
O 0.983 0.819 0.092
O 0.306 0.460 0.471
O 0.307 0.839 0.973
O 0.800 0.972 0.412
O 0.518 0.694 0.257
O 0.839 0.310 0.244
O 0.538 0.692 0.971
O 0.176 0.202 0.411
O 0.694 0.542 0.528
O 0.819 0.793 0.305
O 0.144 0.643 0.077
O 0.693 0.163 0.744
O 0.486 0.362 0.138
O 0.347 0.498 0.076
O 0.974 0.795 0.805
O 0.207 0.023 0.303
O 0.182 0.168 0.091
O 0.133 0.491 0.859
O 0.848 0.547 0.028
O 0.366 0.871 0.860
O 0.184 0.020 0.590
O 0.841 0.524 0.744
O 0.700 0.155 0.029
O 0.180 0.971 0.196
O 0.362 0.486 0.362
O 0.512 0.639 0.863
O 0.498 0.848 0.075
O 0.498 0.138 0.922
O 0.026 0.197 0.912
O 0.033 0.825 0.694
O 0.884 0.364 0.640
O 0.357 0.856 0.577
O 0.167 0.967 0.912
O 0.977 0.163 0.590
O 0.635 0.120 0.138
O 0.160 0.465 0.974
O 0.457 0.153 0.528
O 0.796 0.825 0.912
O 0.865 0.367 0.922
O 0.790 0.824 0.194
O 0.474 0.313 0.744
O 0.152 0.501 0.576
O 0.683 0.525 0.244
O 0.521 0.827 0.757
O 0.844 0.300 0.531
O 0.830 0.818 0.589
O 0.827 0.028 0.803
O 0.536 0.841 0.475
O 0.835 0.024 0.090
O 0.206 0.180 0.805
O 0.307 0.837 0.255
O 0.488 0.123 0.637
O 0.035 0.214 0.191
O 0.466 0.156 0.245
O 0.865 0.503 0.422
O 0.501 0.653 0.576
O 0.133 0.635 0.360
O 0.169 0.212 0.695
O 0.161 0.694 0.472
O 0.982 0.178 0.303
O 0.173 0.482 0.256
O 0.637 0.515 0.637
O 0.633 0.135 0.422
P 0.052 0.387 0.917
P 0.971 0.336 0.584
P 0.965 0.637 0.083
P 0.006 0.714 0.749
P 0.009 0.296 0.249
P 0.609 0.946 0.417
P 0.055 0.667 0.416
P 0.368 0.333 0.084
P 0.290 0.296 0.750
P 0.701 0.711 0.249
P 0.704 0.990 0.749
P 0.364 0.036 0.582
P 0.334 0.947 0.917
P 0.665 0.632 0.582
P 0.662 0.030 0.084
Hf 0.006 0.004 0.855
Hf 0.673 0.335 0.481
Hf 0.662 0.335 0.685
Hf 0.666 0.329 0.981
Hf 0.670 0.337 0.186
Hf 0.987 0.992 0.355
Na 0.334 0.667 0.667
Na 0.668 0.969 0.584
Na 0.006 0.994 0.004
Na 0.344 0.672 0.168
Na 0.657 0.327 0.834
Na 0.033 0.334 0.084
Na 0.003 0.364 0.751
Na 0.678 0.337 0.333
Na 0.008 0.994 0.504
S 0.286 0.994 0.249
S 0.334 0.383 0.417
S 0.615 0.666 0.916
Ga 0.005 0.998 0.650
Ga 0.331 0.664 0.314
Ga 0.332 0.676 0.813
Ga 0.989 0.997 0.149
Ga 0.329 0.671 0.020
Ga 0.328 0.671 0.520

---

No. 3
Na3HfGaSiP2O12 | PBE | optimized geometry

- formation energy from the elements (eV/atom) = -2.870
- MP2020-corrected energy (eV per formula unit) = -149.975

Unit cell a=8.926 b=8.926 c=22.334 alpha=89.61 beta=90.39 gamma=119.93
Fractional coordinates of all 120 atoms:
Na 0.329 0.657 0.663
Na 0.300 0.961 0.081
Na 0.656 0.964 0.584
Na 0.374 0.008 0.748
Na 0.039 0.700 0.581
Na 0.972 0.673 0.918
Na 0.003 0.997 0.996
Na 0.992 0.626 0.248
Na 0.003 0.997 0.496
Na 0.971 0.300 0.413
Na 0.665 0.327 0.830
Na 0.364 0.362 0.248
Na 0.638 0.636 0.748
Na 0.673 0.335 0.330
Na 0.327 0.028 0.418
Na 0.343 0.671 0.163
Na 0.036 0.344 0.084
Na 0.700 0.029 0.913
Si 0.990 0.285 0.252
Si 0.326 0.961 0.917
Si 0.715 0.010 0.752
Si 0.374 0.037 0.583
Si 0.963 0.626 0.083
Si 0.039 0.674 0.417
O 0.177 0.007 0.588
O 0.161 0.708 0.476
O 0.972 0.172 0.312
O 0.213 0.172 0.806
O 0.178 0.968 0.195
O 0.813 0.984 0.413
O 0.215 0.037 0.307
O 0.128 0.491 0.864
O 0.127 0.635 0.358
O 0.548 0.847 0.476
O 0.792 0.820 0.195
O 0.644 0.138 0.423
O 0.502 0.645 0.577
O 0.032 0.853 0.408
O 0.648 0.509 0.922
O 0.699 0.540 0.531
O 0.169 0.480 0.255
O 0.358 0.844 0.579
O 0.156 0.642 0.079
O 0.141 0.500 0.577
O 0.460 0.154 0.523
O 0.496 0.124 0.643
O 0.032 0.822 0.695
O 0.826 0.316 0.246
O 0.474 0.173 0.242
O 0.034 0.207 0.192
O 0.363 0.486 0.360
O 0.993 0.823 0.088
O 0.878 0.375 0.638
O 0.846 0.540 0.023
O 0.825 0.804 0.590
O 0.827 0.526 0.742
O 0.301 0.466 0.472
O 0.460 0.301 0.031
O 0.828 0.787 0.306
O 0.854 0.493 0.421
O 0.292 0.839 0.976
O 0.684 0.174 0.746
O 0.625 0.122 0.138
O 0.196 0.175 0.090
O 0.365 0.873 0.858
O 0.514 0.637 0.860
O 0.486 0.362 0.143
O 0.527 0.686 0.256
O 0.314 0.473 0.756
O 0.862 0.356 0.923
O 0.969 0.169 0.589
O 0.159 0.689 0.756
O 0.509 0.872 0.364
O 0.686 0.523 0.245
O 0.638 0.514 0.643
O 0.507 0.146 0.921
O 0.355 0.498 0.077
O 0.804 0.831 0.913
O 0.793 0.966 0.692
O 0.477 0.314 0.745
O 0.311 0.841 0.256
O 0.520 0.831 0.755
O 0.828 0.028 0.812
O 0.831 0.031 0.089
O 0.169 0.196 0.413
O 0.963 0.785 0.807
O 0.180 0.208 0.695
O 0.016 0.187 0.913
O 0.534 0.699 0.972
O 0.876 0.504 0.143
O 0.846 0.303 0.527
O 0.500 0.859 0.077
O 0.147 0.968 0.908
O 0.697 0.154 0.027
O 0.153 0.452 0.976
O 0.491 0.352 0.422
P 0.380 0.341 0.086
P 0.295 0.292 0.751
P 0.045 0.371 0.919
P 0.331 0.377 0.418
P 0.623 0.669 0.918
P 0.629 0.955 0.419
P 0.708 0.705 0.251
P 0.659 0.620 0.586
P 0.962 0.339 0.583
P 0.661 0.038 0.083
P 0.992 0.702 0.751
P 0.298 0.008 0.251
Ga 0.671 0.322 0.684
Ga 0.989 0.991 0.350
Ga 0.328 0.669 0.017
Ga 0.331 0.672 0.517
Ga 0.009 0.011 0.850
Ga 0.678 0.329 0.184
Hf 0.005 0.007 0.648
Hf 0.660 0.335 0.981
Hf 0.331 0.666 0.314
Hf 0.993 0.995 0.148
Hf 0.334 0.669 0.814
Hf 0.665 0.340 0.481